CeMgSn (PBE, optimized geometry); crystal system = orthorhombic; total energy = -4.31 eV/atom
1.0
7.7292 0.0000 0.0000
0.0000 4.6455 0.0000
0.0000 0.0000 9.0997
Ce Mg Sn
4 4 4
Cartesian
0.1485 1.1614 1.6542
3.7161 3.4841 6.2040
4.0131 1.1614 2.8956
7.5807 3.4841 7.4455
1.2030 1.1614 5.1740
2.6616 3.4841 0.6242
5.0676 1.1614 8.4755
6.5262 3.4841 3.9257
1.7649 3.4841 3.5247
2.0997 1.1614 8.0746
5.6295 3.4841 1.0251
5.9642 1.1614 5.5749

***

CeMg6Ti (PBE, optimized geometry); E above lowest polymorph = 0.0 kJ per mole of atoms
1.0
4.9559 0.0000 0.0000
0.0000 6.4485 0.0000
0.0000 0.0000 11.6014
Mg Ti Ce
12 2 2
Cartesian
0.0000 1.5920 0.8636
0.0000 1.6322 6.6643
0.0000 4.8163 6.6643
2.4779 4.8864 10.7579
2.4779 0.0000 1.9381
0.0000 3.2243 9.5818
2.4779 3.2243 7.7388
0.0000 0.0000 3.7811
2.4779 4.7864 4.9572
2.4779 1.6621 4.9572
0.0000 4.8565 0.8636
2.4779 1.5622 10.7579
0.0000 3.2243 3.5847
0.0000 0.0000 9.3854
2.4779 3.2243 2.2572
2.4779 0.0000 8.0579

***

CeMg6Ti (PBE, optimized geometry); E above lowest polymorph = 0.5 kJ per mole of atoms
1.0
5.2080 0.0000 0.0000
0.0000 6.0277 0.0000
0.0000 0.0000 11.8983
Mg Ce Ti
12 2 2
Cartesian
0.0000 4.5603 0.9296
2.6040 4.5287 5.0565
0.0000 0.0000 9.9644
2.6040 1.5149 11.0056
0.0000 3.0138 4.0152
0.0000 1.4674 0.9296
0.0000 0.0000 3.7136
0.0000 1.5465 6.8787
2.6040 4.5128 11.0056
2.6040 1.4990 5.0565
0.0000 4.4812 6.8787
0.0000 3.0138 9.6627
2.6040 0.0000 8.0673
2.6040 3.0138 2.1182
2.6040 3.0138 7.9266
2.6040 0.0000 1.9774

***

CeMg14Ti (PBE, optimized geometry); crystal system = orthorhombic; E above lowest polymorph = 0.0 kJ per mole of atoms
1.0
10.4254 0.0000 0.0000
0.0000 3.1132 5.7298
0.0000 -3.1132 5.7298
Ce Mg Ti
1 14 1
Cartesian
0.0000 0.0000 0.0000
0.0000 -1.5338 2.8655
0.0000 1.5338 2.8655
2.5082 0.0000 7.5070
2.6461 -1.5309 4.6810
2.6461 1.5309 4.6810
2.6946 0.0000 1.8443
5.2127 0.0000 5.6879
5.2127 -1.5450 8.5459
5.2127 1.5450 8.5459
5.2127 0.0000 11.4026
7.7308 0.0000 1.8443
7.7793 -1.5309 4.6810
7.7793 1.5309 4.6810
7.9172 0.0000 7.5070
0.0000 0.0000 5.6360

***

CeMg14Ti (PBE, optimized geometry); crystal system = hexagonal; E above lowest polymorph = 3.6 kJ per mole of atoms
1.0
6.6107 0.0000 0.0000
-3.3054 5.7251 0.0000
0.0000 0.0000 10.4030
Ce Mg Ti
1 14 1
Cartesian
0.0000 0.0000 0.0000
-1.5784 2.9054 0.0000
0.0000 1.8934 2.7185
0.0000 1.8934 7.6846
-1.6657 4.7784 2.7185
-1.6657 4.7784 7.6846
1.5784 2.9054 0.0000
0.0000 5.6393 0.0000
3.3054 0.0182 5.2015
1.6684 2.8534 5.2015
3.3054 1.9084 2.4932
3.3054 1.9084 7.9098
1.6657 4.7784 2.7185
1.6657 4.7784 7.6846
4.9423 2.8534 5.2015
0.0000 0.0000 5.2015

***

CeTmMg2 (PBE, optimized geometry); crystal system = cubic; total energy = -3.41 eV/atom
1.0
0.0000 3.8185 3.8185
3.8185 0.0000 3.8185
3.8185 3.8185 0.0000
Ce Tm Mg
1 1 2
Cartesian
0.0000 0.0000 0.0000
3.8185 3.8185 3.8185
1.9092 1.9092 1.9092
5.7277 5.7277 5.7277

***

CeMg14W (PBE, optimized geometry); crystal system = hexagonal; E above lowest polymorph = 8.1 kJ per mole of atoms
1.0
6.3331 0.0000 0.0000
-3.1665 5.4846 0.0000
0.0000 0.0000 10.1572
Ce Mg W
1 14 1
Cartesian
0.0000 0.0000 0.0000
-1.5105 2.7843 0.0000
0.0000 1.7878 2.7400
0.0000 1.7878 7.4172
-1.6183 4.5907 2.7400
-1.6183 4.5907 7.4172
1.5105 2.7843 0.0000
0.0000 5.4006 0.0000
3.1665 0.0387 5.0786
1.6168 2.7230 5.0786
3.1665 1.8282 2.3884
3.1665 1.8282 7.7687
1.6183 4.5907 2.7400
1.6183 4.5907 7.4172
4.7163 2.7230 5.0786
0.0000 0.0000 5.0786

***

CeMg14W (PBE, optimized geometry); crystal system = orthorhombic; E above lowest polymorph = 0.0 kJ per mole of atoms
1.0
10.3989 0.0000 0.0000
0.0000 2.9860 5.7550
0.0000 -2.9860 5.7550
Ce Mg W
1 14 1
Cartesian
0.0000 0.0000 0.0000
0.0000 -1.4730 2.8654
0.0000 1.4730 2.8654
2.4106 0.0000 7.3829
2.5795 -1.4589 4.6077
2.5795 1.4589 4.6077
2.7401 0.0000 1.7448
5.1994 0.0000 5.6593
5.1994 -1.4783 8.5320
5.1994 0.0000 11.3718
5.1994 1.4783 8.5320
7.6587 0.0000 1.7448
7.8194 -1.4589 4.6077
7.8194 1.4589 4.6077
7.9883 0.0000 7.3829
0.0000 0.0000 5.6257

***

CeYMg14 (PBE, optimized geometry); crystal system = orthorhombic; E above lowest polymorph = 0.0 kJ per mole of atoms
1.0
10.3937 0.0000 0.0000
0.0000 3.2204 5.6700
0.0000 -3.2204 5.6700
Ce Y Mg
1 1 14
Cartesian
0.0000 0.0000 0.0000
0.0000 0.0000 5.6189
0.0000 -1.6071 2.8458
0.0000 1.6071 2.8458
2.6187 0.0000 7.6138
2.6582 0.0000 1.9552
2.7294 -1.6115 4.7499
2.7294 1.6115 4.7499
5.1969 -1.6111 2.8712
5.1969 0.0000 0.0612
5.1969 1.6111 2.8712
5.1969 0.0000 5.7313
7.6643 -1.6115 4.7499
7.6643 1.6115 4.7499
7.7355 0.0000 1.9552
7.7750 0.0000 7.6138

***

CeYMg14 (PBE, optimized geometry); crystal system = hexagonal; E above lowest polymorph = 0.9 kJ per mole of atoms
1.0
6.6581 0.0000 0.0000
-3.3291 5.7661 0.0000
0.0000 0.0000 10.4003
Ce Y Mg
1 1 14
Cartesian
0.0000 0.0000 0.0000
0.0000 0.0000 5.2002
-1.6348 2.9002 5.2002
-1.6255 2.9056 0.0000
0.0000 1.9643 2.6064
0.0000 1.9643 7.7940
-1.6280 4.7840 2.6064
-1.6280 4.7840 7.7940
1.6255 2.9056 0.0000
0.0000 5.7211 0.0000
1.6348 2.9002 5.2002
0.0000 5.7318 5.2002
1.6280 4.7840 2.6064
1.6280 4.7840 7.7940
3.3291 1.9220 2.5727
3.3291 1.9220 7.8276

***

CeYMg2 (PBE, optimized geometry); crystal system = cubic; total energy = -3.93 eV/atom
1.0
0.0000 3.8176 3.8176
3.8176 0.0000 3.8176
3.8176 3.8176 0.0000
Ce Y Mg
1 1 2
Cartesian
0.0000 0.0000 0.0000
3.8176 3.8176 3.8176
1.9088 1.9088 1.9088
5.7264 5.7264 5.7264

***

CeY4Mg5 (PBE, optimized geometry); crystal system = tetragonal; total energy = -4.05 eV/atom
1.0
3.8101 0.0000 0.0000
0.0000 3.8101 0.0000
0.0000 0.0000 19.1198
Ce Y Mg
1 4 5
Cartesian
0.0000 0.0000 0.0000
0.0000 0.0000 3.8104
0.0000 0.0000 7.6582
0.0000 0.0000 11.4615
0.0000 0.0000 15.3093
1.9050 1.9050 1.9272
1.9050 1.9050 5.7404
1.9050 1.9050 9.5599
1.9050 1.9050 13.3794
1.9050 1.9050 17.1925

***

CeMgZn2 (PBE, optimized geometry); crystal system = cubic; total energy = -2.79 eV/atom
1.0
0.0000 3.4728 3.4728
3.4728 0.0000 3.4728
3.4728 3.4728 0.0000
Ce Mg Zn
1 1 2
Cartesian
0.0000 0.0000 0.0000
3.4728 3.4728 3.4728
1.7364 1.7364 1.7364
5.2091 5.2091 5.2091

***

CeMg14Zn (PBE, optimized geometry); crystal system = orthorhombic; E above lowest polymorph = 0.0 kJ per mole of atoms
1.0
10.2862 0.0000 0.0000
0.0000 3.1872 5.7018
0.0000 -3.1872 5.7018
Ce Mg Zn
1 14 1
Cartesian
0.0000 0.0000 0.0000
0.0000 -1.5260 2.8824
0.0000 1.5260 2.8824
2.3861 0.0000 7.4193
2.6142 -1.5746 4.6214
2.6142 1.5746 4.6214
2.6707 0.0000 1.8121
5.1431 0.0000 5.6220
5.1431 -1.5682 8.4530
5.1431 1.5682 8.4530
5.1431 0.0000 11.2974
7.6155 0.0000 1.8121
7.6720 -1.5746 4.6214
7.6720 1.5746 4.6214
7.9001 0.0000 7.4193
0.0000 0.0000 5.4058

***

CeMg6Zn (PBE, optimized geometry); crystal system = orthorhombic; total energy = -2.04 eV/atom
1.0
5.0596 0.0000 0.0000
0.0000 3.3403 5.7683
0.0000 -3.3403 5.7683
Ce Mg Zn
1 6 1
Cartesian
0.0000 0.0000 0.0000
0.0000 0.0000 5.8999
0.0000 -1.6047 8.6965
0.0000 1.6047 8.6965
2.5298 0.0000 3.9464
2.5298 -1.6125 6.8658
2.5298 1.6125 6.8658
2.5298 0.0000 9.7213

***

CeMg14Zn (PBE, optimized geometry); crystal system = hexagonal; E above lowest polymorph = 1.0 kJ per mole of atoms
1.0
6.4921 0.0000 0.0000
-3.2460 5.6223 0.0000
0.0000 0.0000 10.2353
Ce Mg Zn
1 14 1
Cartesian
0.0000 0.0000 0.0000
-1.5469 2.8551 0.0000
0.0000 1.8567 2.6767
0.0000 1.8567 7.5585
-1.6380 4.6939 2.6767
-1.6380 4.6939 7.5585
1.5469 2.8551 0.0000
0.0000 5.5344 0.0000
3.2460 0.0235 5.1176
1.6434 2.7994 5.1176
3.2460 1.8741 2.4708
3.2460 1.8741 7.7645
1.6380 4.6939 2.6767
1.6380 4.6939 7.5585
4.8487 2.7994 5.1176
0.0000 0.0000 5.1176

***

Ce2MgZn (PBE, optimized geometry); crystal system = tetragonal; total energy = -3.74 eV/atom
1.0
3.7290 0.0000 0.0000
0.0000 3.7290 0.0000
0.0000 0.0000 7.3773
Ce Mg Zn
2 1 1
Cartesian
0.0000 0.0000 1.6463
0.0000 0.0000 5.7310
1.8645 1.8645 3.6886
1.8645 1.8645 0.0000

***

CeMg6Zn (PBE, optimized geometry); crystal system = orthorhombic; total energy = -2.05 eV/atom
1.0
5.1106 0.0000 0.0000
0.0000 3.2263 5.8440
0.0000 -3.2263 5.8440
Ce Mg Zn
1 6 1
Cartesian
0.0000 0.0000 0.0000
0.0000 -1.5805 2.9229
0.0000 1.5805 2.9229
2.5553 0.0000 1.9687
2.5553 -1.5407 4.8194
2.5553 1.5407 4.8194
2.5553 0.0000 7.7180
0.0000 0.0000 5.7501

***

Ce2MnN3 (PBE, optimized geometry); crystal system = orthorhombic; total energy = -8.93 eV/atom
1.0
-1.7303 1.8987 6.1998
1.7303 -1.8987 6.1998
1.7303 1.8987 -6.1998
Ce Mn N
2 1 3
Cartesian
0.0000 0.0000 1.8076
0.0000 0.0000 10.5919
0.0000 0.0000 6.1998
1.7303 0.0000 0.0000
0.0000 0.0000 4.1810
0.0000 0.0000 8.2185

***

CeMn7Ni5 (PBE, optimized geometry); crystal system = orthorhombic; total energy = -7.57 eV/atom
1.0
-2.3825 4.2053 4.1792
2.3825 -4.2053 4.1792
2.3825 4.2053 -4.1792
Ce Mn Ni
1 7 5
Cartesian
0.0000 0.0000 0.0000
2.3825 1.9804 -0.0563
1.2008 2.1205 2.0386
1.1817 -2.0848 6.2178
0.0000 2.2249 4.1228
0.0000 4.2053 2.1731
1.2008 6.2901 2.0386
1.1817 2.0848 6.2178
2.3825 0.0000 1.7349
0.0000 0.0000 2.8593
2.3825 -1.2254 4.0780
2.3825 1.2254 4.0780
0.0000 0.0000 5.3726

***

CeMnSi2Pd (PBE, optimized geometry); crystal system = tetragonal; total energy = -6.92 eV/atom
1.0
-2.0501 2.0501 4.9580
2.0501 -2.0501 4.9580
2.0501 2.0501 -4.9580
Ce Mn Si Pd
1 1 2 1
Cartesian
0.0000 0.0000 0.0000
0.0000 2.0501 2.4790
0.0000 0.0000 3.7214
0.0000 0.0000 6.1947
2.0501 0.0000 2.4790